# CeYGe4Pt4

A relaxed structure of CeYGe4Pt4 (GGA-PBE, Materials Project).

Results
- energy of formation from the pure elements (eV/atom) = -0.8784
- V (Å³/cell) = 191

```
CeYGe4Pt4
1.0
4.344 0.000 0.000
0.000 4.338 0.000
-0.074 0.000 10.148
Ce Y Ge Pt
1 1 4 4
Direct
0.000 0.000 0.000 Ce
0.499 0.500 0.499 Y
0.013 0.000 0.388 Ge
0.486 0.000 0.752 Ge
0.515 0.500 0.122 Ge
0.983 0.500 0.753 Ge
0.019 0.500 0.255 Pt
0.485 0.500 0.880 Pt
0.512 0.000 0.255 Pt
0.984 0.000 0.628 Pt
```


# Ce2Ge5Rh3

A relaxed structure of Ce2Ge5Rh3 (GGA-PBE, Materials Project).

Results
- energy of formation from the pure elements (eV/atom) = -0.8060
- V (Å³/cell) = 372

```
Ce2Ge5Rh3
1.0
-5.075 6.007 3.047
5.075 -6.007 3.047
5.075 6.007 -3.047
Ce Ge Rh
4 10 6
Direct
0.134 0.232 0.365 Ce
0.366 0.732 0.098 Ce
0.634 0.268 0.902 Ce
0.866 0.768 0.635 Ce
0.026 0.750 0.276 Ge
0.101 0.659 0.760 Ge
0.250 0.250 0.000 Ge
0.399 0.159 0.559 Ge
0.474 0.750 0.724 Ge
0.526 0.250 0.276 Ge
0.601 0.841 0.441 Ge
0.750 0.750 0.000 Ge
0.899 0.341 0.240 Ge
0.974 0.250 0.724 Ge
0.140 0.892 0.032 Rh
0.250 0.750 0.500 Rh
0.360 0.392 0.752 Rh
0.640 0.608 0.248 Rh
0.750 0.250 0.500 Rh
0.860 0.108 0.968 Rh
```


In order of appearance, total energy = -6.3961, -6.5134 eV per atom.
In order of appearance, total moment = 0.72, 0.03 Bohr magnetons per cell.